# 1
! SrC4O4F6, optimized geometry, DFT PBE; values from VASP
! Magnetization (μB/cell): 0.00
! Energy relative to the elements (eV per atom): -2.095
! Crystal system: trigonal
&SYSTEM
  ibrav = 0, nat = 90, ntyp = 4
/
ATOMIC_SPECIES
C 12.01 C.upf
O 16.00 O.upf
F 19.00 F.upf
Sr 87.62 Sr.upf
CELL_PARAMETERS angstrom
7.144 -11.073 0.000
7.144 11.073 0.000
-10.019 0.000 8.560
ATOMIC_POSITIONS crystal
C 0.773 0.774 0.064
C 0.476 0.256 0.759
C 0.714 0.327 0.612
C 0.226 0.936 0.227
C 0.612 0.714 0.327
C 0.286 0.673 0.388
C 0.759 0.476 0.256
C 0.327 0.612 0.714
C 0.788 0.127 0.192
C 0.936 0.227 0.226
C 0.227 0.226 0.936
C 0.673 0.388 0.286
C 0.524 0.744 0.241
C 0.127 0.192 0.788
C 0.212 0.873 0.808
C 0.808 0.212 0.873
C 0.388 0.286 0.673
C 0.064 0.773 0.774
C 0.774 0.064 0.773
C 0.241 0.524 0.744
C 0.744 0.241 0.524
C 0.192 0.788 0.127
C 0.873 0.808 0.212
C 0.256 0.759 0.476
O 0.275 0.610 0.869
O 0.207 0.917 0.739
O 0.131 0.725 0.390
O 0.094 0.095 0.670
O 0.390 0.131 0.725
O 0.261 0.793 0.083
O 0.725 0.390 0.131
O 0.858 0.621 0.361
O 0.639 0.142 0.379
O 0.917 0.739 0.207
O 0.361 0.858 0.621
O 0.142 0.379 0.639
O 0.610 0.869 0.275
O 0.793 0.083 0.261
O 0.869 0.275 0.610
O 0.906 0.905 0.330
O 0.083 0.261 0.793
O 0.330 0.906 0.905
O 0.095 0.670 0.094
O 0.739 0.207 0.917
O 0.621 0.361 0.858
O 0.905 0.330 0.906
O 0.379 0.639 0.142
O 0.670 0.094 0.095
F 0.395 0.388 0.770
F 0.460 0.769 0.849
F 0.905 0.150 0.094
F 0.337 0.060 0.265
F 0.849 0.460 0.769
F 0.850 0.906 0.095
F 0.150 0.094 0.905
F 0.230 0.605 0.612
F 0.060 0.265 0.337
F 0.769 0.849 0.460
F 0.274 0.978 0.363
F 0.663 0.940 0.735
F 0.022 0.637 0.726
F 0.612 0.230 0.605
F 0.095 0.850 0.906
F 0.094 0.905 0.150
F 0.978 0.363 0.274
F 0.151 0.540 0.231
F 0.552 0.656 0.372
F 0.726 0.022 0.637
F 0.344 0.628 0.448
F 0.735 0.663 0.940
F 0.448 0.344 0.628
F 0.770 0.395 0.388
F 0.231 0.151 0.540
F 0.656 0.372 0.552
F 0.605 0.612 0.230
F 0.637 0.726 0.022
F 0.940 0.735 0.663
F 0.363 0.274 0.978
F 0.906 0.095 0.850
F 0.388 0.770 0.395
F 0.540 0.231 0.151
F 0.265 0.337 0.060
F 0.372 0.552 0.656
F 0.628 0.448 0.344
Sr 0.912 0.105 0.486
Sr 0.895 0.514 0.088
Sr 0.105 0.486 0.912
Sr 0.088 0.895 0.514
Sr 0.486 0.912 0.105
Sr 0.514 0.088 0.895

=====

# 2
! PCF3, optimized geometry, DFT PBE; values from VASP
! Magnetization (μB/cell): 0.00
! Energy relative to the elements (eV per atom): -1.505
! Crystal system: monoclinic
&SYSTEM
  ibrav = 0, nat = 100, ntyp = 3
/
ATOMIC_SPECIES
C 12.01 C.upf
F 19.00 F.upf
P 30.97 P.upf
CELL_PARAMETERS angstrom
-4.863 4.407 7.544
-8.244 -5.366 -2.180
-0.079 -15.319 8.899
ATOMIC_POSITIONS crystal
C 0.890 0.787 0.131
C 0.875 0.446 0.910
C 0.137 0.712 0.364
C 0.302 0.101 0.642
C 0.802 0.899 0.858
C 0.625 0.446 0.410
C 0.451 0.781 0.116
C 0.125 0.554 0.090
C 0.637 0.288 0.136
C 0.549 0.219 0.884
C 0.110 0.213 0.869
C 0.363 0.712 0.864
C 0.610 0.787 0.631
C 0.390 0.213 0.369
C 0.049 0.781 0.616
C 0.863 0.288 0.636
C 0.198 0.101 0.142
C 0.951 0.219 0.384
C 0.698 0.899 0.358
C 0.375 0.554 0.590
F 0.475 0.098 0.913
F 0.963 0.364 0.588
F 0.307 0.795 0.903
F 0.033 0.449 0.120
F 0.732 0.502 0.437
F 0.807 0.205 0.597
F 0.467 0.449 0.620
F 0.079 0.111 0.103
F 0.313 0.176 0.692
F 0.463 0.636 0.912
F 0.481 0.698 0.072
F 0.507 0.290 0.807
F 0.519 0.302 0.928
F 0.537 0.364 0.088
F 0.421 0.111 0.603
F 0.292 0.167 0.084
F 0.525 0.902 0.087
F 0.007 0.710 0.693
F 0.967 0.551 0.880
F 0.981 0.302 0.428
F 0.930 0.346 0.976
F 0.040 0.117 0.930
F 0.025 0.098 0.413
F 0.493 0.710 0.193
F 0.187 0.176 0.192
F 0.232 0.498 0.063
F 0.233 0.619 0.360
F 0.570 0.346 0.476
F 0.268 0.498 0.563
F 0.037 0.636 0.412
F 0.460 0.117 0.430
F 0.768 0.502 0.937
F 0.792 0.833 0.416
F 0.813 0.824 0.808
F 0.579 0.889 0.397
F 0.800 0.862 0.158
F 0.700 0.862 0.658
F 0.687 0.824 0.308
F 0.208 0.167 0.584
F 0.993 0.290 0.307
F 0.200 0.138 0.842
F 0.430 0.654 0.524
F 0.180 0.296 0.901
F 0.975 0.902 0.587
F 0.960 0.883 0.070
F 0.680 0.704 0.599
F 0.300 0.138 0.342
F 0.267 0.619 0.860
F 0.193 0.795 0.403
F 0.820 0.704 0.099
F 0.533 0.551 0.380
F 0.767 0.381 0.640
F 0.070 0.654 0.024
F 0.708 0.833 0.916
F 0.733 0.381 0.140
F 0.540 0.883 0.570
F 0.693 0.205 0.097
F 0.320 0.296 0.401
F 0.921 0.889 0.897
F 0.019 0.698 0.572
P 0.315 0.617 0.675
P 0.493 0.334 0.279
P 0.566 0.165 0.236
P 0.815 0.383 0.825
P 0.739 0.086 0.797
P 0.066 0.835 0.264
P 0.434 0.835 0.764
P 0.993 0.666 0.221
P 0.765 0.167 0.399
P 0.261 0.914 0.203
P 0.507 0.666 0.721
P 0.239 0.914 0.703
P 0.007 0.334 0.779
P 0.735 0.167 0.899
P 0.265 0.833 0.101
P 0.934 0.165 0.736
P 0.761 0.086 0.297
P 0.685 0.383 0.325
P 0.235 0.833 0.601
P 0.185 0.617 0.175